Below is crystalline Na6Ca2Zr2Si3S3O24 at its relaxed geometry, with properties calculated at the PBE level.

**Calculated volume**: 1756.2 Å³/cell
**Corrected total energy (MP2020 scheme)**: -0.5235 Ry per atom
**Calculated density**: 2.74 g/cm3

Structure (POSCAR):
```
Na6Ca2Zr2Si3S3O24
1.0
9.352 0.000 0.000
-4.663 8.136 0.000
-0.202 -0.162 23.079
Na Ca Zr Si S O
18 6 6 9 9 72
direct
0.000 0.000 0.000
0.001 0.239 0.491
0.051 0.302 0.830
0.066 0.995 0.330
0.316 0.274 0.920
0.324 0.264 0.411
0.332 0.945 0.186
0.335 0.633 0.670
0.662 0.299 0.329
0.678 0.649 0.506
0.679 0.265 0.021
0.683 0.604 0.822
0.693 0.961 0.096
0.694 0.973 0.581
0.980 0.291 0.168
0.986 0.923 0.656
0.988 0.606 0.742
0.990 0.621 0.248
0.001 0.620 0.606
0.002 0.618 0.108
0.344 0.284 0.771
0.345 0.297 0.272
0.678 0.961 0.436
0.683 0.961 0.938
0.021 0.625 0.904
0.034 0.648 0.399
0.332 0.288 0.077
0.336 0.284 0.574
0.683 0.979 0.239
0.700 0.958 0.733
0.016 0.929 0.509
0.021 0.327 0.006
0.037 0.990 0.176
0.048 0.293 0.677
0.381 0.959 0.338
0.642 0.590 0.676
0.643 0.287 0.173
0.981 0.268 0.345
0.983 0.952 0.843
0.305 0.926 0.006
0.308 0.617 0.508
0.356 0.996 0.672
0.357 0.597 0.171
0.377 0.665 0.838
0.687 0.261 0.841
0.689 0.667 0.341
0.708 0.331 0.504
0.713 0.615 0.001
0.002 0.832 0.568
0.028 0.821 0.452
0.034 0.445 0.947
0.039 0.821 0.166
0.042 0.460 0.668
0.138 0.306 0.738
0.139 0.122 0.118
0.141 0.077 0.233
0.149 0.260 0.622
0.161 0.115 0.838
0.161 0.293 0.336
0.185 0.119 0.510
0.189 0.305 0.007
0.189 0.792 0.340
0.196 0.831 0.955
0.200 0.600 0.458
0.203 0.641 0.841
0.215 0.623 0.164
0.216 0.828 0.664
0.234 0.836 0.059
0.239 0.637 0.562
0.308 0.089 0.006
0.311 0.456 0.510
0.328 0.067 0.724
0.332 0.500 0.223
0.358 0.119 0.336
0.361 0.499 0.837
0.368 0.504 0.119
0.374 0.101 0.620
0.453 0.760 0.784
0.468 0.935 0.277
0.472 0.752 0.889
0.474 0.958 0.998
0.479 0.751 0.502
0.485 0.969 0.393
0.510 0.986 0.677
0.511 0.758 0.173
0.519 0.487 0.620
0.524 0.271 0.113
0.545 0.327 0.511
0.554 0.299 0.835
0.554 0.498 0.334
0.555 0.455 0.004
0.561 0.303 0.231
0.564 0.501 0.736
0.637 0.772 0.677
0.639 0.104 0.173
0.670 0.175 0.896
0.672 0.732 0.397
0.683 0.163 0.501
0.683 0.753 0.995
0.700 0.167 0.791
0.704 0.778 0.292
0.787 0.431 0.452
0.805 0.601 0.949
0.811 0.409 0.556
0.816 0.645 0.053
0.834 0.642 0.672
0.835 0.428 0.169
0.849 0.164 0.287
0.849 0.663 0.342
0.850 0.425 0.842
0.852 0.949 0.506
0.853 0.929 0.786
0.856 0.144 0.003
0.857 0.983 0.176
0.863 0.117 0.677
0.895 0.967 0.901
0.904 0.161 0.402
0.971 0.442 0.349
0.982 0.771 0.845
0.998 0.413 0.062
```